1.
# Ba2As2Se5 | the Materials Project | PBE | relaxed
data_Ba2As2Se5
_chemical_formula_sum 'Ba8 As8 Se20'
_cell_length_a 9.595
_cell_length_b 12.628
_cell_length_c 10.272
_cell_angle_alpha 90.00
_cell_angle_beta 117.19
_cell_angle_gamma 90.00
_symmetry_space_group_name_H-M 'P 1'
_symmetry_Int_Tables_number 1
_symmetry_space_group_name_Hall 'P 1'
loop_
_atom_site_label
_atom_site_type_symbol
_atom_site_fract_x
_atom_site_fract_y
_atom_site_fract_z
Ba1 Ba 0.076 0.000 0.141
Ba2 Ba 0.176 0.342 0.346
Ba3 Ba 0.330 0.839 0.644
Ba4 Ba 0.416 0.493 0.840
Ba5 Ba 0.584 0.993 0.160
Ba6 Ba 0.670 0.339 0.356
Ba7 Ba 0.824 0.842 0.654
Ba8 Ba 0.924 0.500 0.859
As1 As 0.036 0.575 0.513
As2 As 0.219 0.263 0.008
As3 As 0.234 0.150 0.752
As4 As 0.397 0.692 0.263
As5 As 0.603 0.192 0.737
As6 As 0.766 0.650 0.248
As7 As 0.781 0.763 0.992
As8 As 0.964 0.075 0.487
Se1 Se 0.041 0.753 0.013
Se2 Se 0.049 0.393 0.605
Se3 Se 0.115 0.669 0.739
Se4 Se 0.216 0.982 0.860
Se5 Se 0.265 0.589 0.477
Se6 Se 0.298 0.442 0.101
Se7 Se 0.338 0.108 0.572
Se8 Se 0.372 0.169 0.237
Se9 Se 0.436 0.867 0.368
Se10 Se 0.494 0.720 0.075
Se11 Se 0.506 0.220 0.925
Se12 Se 0.564 0.367 0.632
Se13 Se 0.628 0.669 0.763
Se14 Se 0.662 0.608 0.428
Se15 Se 0.702 0.942 0.899
Se16 Se 0.735 0.089 0.523
Se17 Se 0.784 0.482 0.140
Se18 Se 0.885 0.169 0.261
Se19 Se 0.951 0.893 0.395
Se20 Se 0.959 0.253 0.987
# * ΔH_f (0 K): -1.297 eV per atom
# * volume: 1107.2 Å³/cell
# * calculated total energy: -159.8 eV/cell
# * ρ: 4.9 g/cm3

=====

2.
# CeSe2 | the Materials Project | PBE | relaxed
data_CeSe2
_chemical_formula_sum 'Ce12 Se24'
_cell_length_a 12.680
_cell_length_b 12.680
_cell_length_c 14.809
_cell_angle_alpha 90.00
_cell_angle_beta 90.00
_cell_angle_gamma 90.00
_symmetry_space_group_name_H-M 'P 1'
_symmetry_Int_Tables_number 1
_symmetry_space_group_name_Hall 'P 1'
loop_
_atom_site_label
_atom_site_type_symbol
_atom_site_fract_x
_atom_site_fract_y
_atom_site_fract_z
Ce1 Ce 0.088 0.088 0.000
Ce2 Ce 0.121 0.676 0.998
Ce3 Ce 0.176 0.379 0.248
Ce4 Ce 0.324 0.879 0.502
Ce5 Ce 0.379 0.176 0.752
Ce6 Ce 0.412 0.588 0.750
Ce7 Ce 0.588 0.412 0.250
Ce8 Ce 0.621 0.824 0.252
Ce9 Ce 0.676 0.121 0.002
Ce10 Ce 0.824 0.621 0.748
Ce11 Ce 0.879 0.324 0.498
Ce12 Ce 0.912 0.912 0.500
Se1 Se 0.055 0.368 0.399
Se2 Se 0.117 0.878 0.455
Se3 Se 0.122 0.883 0.045
Se4 Se 0.132 0.555 0.149
Se5 Se 0.155 0.204 0.143
Se6 Se 0.204 0.155 0.857
Se7 Se 0.296 0.655 0.893
Se8 Se 0.345 0.704 0.607
Se9 Se 0.368 0.055 0.601
Se10 Se 0.378 0.383 0.705
Se11 Se 0.383 0.378 0.295
Se12 Se 0.445 0.868 0.351
Se13 Se 0.555 0.132 0.851
Se14 Se 0.617 0.622 0.795
Se15 Se 0.622 0.617 0.205
Se16 Se 0.632 0.945 0.101
Se17 Se 0.655 0.296 0.107
Se18 Se 0.704 0.345 0.393
Se19 Se 0.796 0.845 0.357
Se20 Se 0.845 0.796 0.643
Se21 Se 0.868 0.445 0.649
Se22 Se 0.878 0.117 0.545
Se23 Se 0.883 0.122 0.955
Se24 Se 0.945 0.632 0.899
# * magnetic moment: 0.00 μB per cell
# * ΔH_f (0 K): -1.396 eV per atom
# * volume: 2380.9 Å³/cell
# * calculated total energy: -194.0 eV/cell
# * ρ: 2.5 g/cm3

=====

3.
# K4ZnP2 | the Materials Project | PBE | relaxed
data_K4ZnP2
_chemical_formula_sum 'K4 Zn1 P2'
_cell_length_a 9.374
_cell_length_b 9.374
_cell_length_c 9.374
_cell_angle_alpha 35.24
_cell_angle_beta 35.24
_cell_angle_gamma 35.24
_symmetry_space_group_name_H-M 'P 1'
_symmetry_Int_Tables_number 1
_symmetry_space_group_name_Hall 'P 1'
loop_
_atom_site_label
_atom_site_type_symbol
_atom_site_fract_x
_atom_site_fract_y
_atom_site_fract_z
K1 K 0.114 0.114 0.114
K2 K 0.291 0.291 0.291
K3 K 0.709 0.709 0.709
K4 K 0.886 0.886 0.886
Zn1 Zn 0.500 0.500 0.500
P1 P 0.416 0.416 0.416
P2 P 0.584 0.584 0.584
# * ΔH_f (0 K): -0.397 eV per atom
# * volume: 245.0 Å³/cell
# * calculated total energy: -19.3 eV/cell
# * ρ: 1.9 g/cm3

=====

4.
# Ba4Sr2Lu3Bi3O18 | the Materials Project | PBE | relaxed
data_Ba4Sr2Lu3Bi3O18
_chemical_formula_sum 'Ba4 Sr2 Lu3 Bi3 O18'
_cell_length_a 6.044
_cell_length_b 6.044
_cell_length_c 14.820
_cell_angle_alpha 90.43
_cell_angle_beta 90.43
_cell_angle_gamma 60.00
_symmetry_space_group_name_H-M 'P 1'
_symmetry_Int_Tables_number 1
_symmetry_space_group_name_Hall 'P 1'
loop_
_atom_site_label
_atom_site_type_symbol
_atom_site_fract_x
_atom_site_fract_y
_atom_site_fract_z
Ba1 Ba 0.000 0.000 0.000
Ba2 Ba 0.002 0.002 0.497
Ba3 Ba 0.335 0.335 0.165
Ba4 Ba 0.669 0.669 0.829
Sr1 Sr 0.330 0.330 0.670
Sr2 Sr 0.664 0.664 0.335
Lu1 Lu 0.001 0.001 0.746
Lu2 Lu 0.334 0.334 0.416
Lu3 Lu 0.667 0.667 0.083
Bi1 Bi 0.000 0.000 0.250
Bi2 Bi 0.333 0.333 0.914
Bi3 Bi 0.666 0.666 0.581
O1 O 0.023 0.522 0.007
O2 O 0.148 0.148 0.853
O3 O 0.151 0.635 0.817
O4 O 0.185 0.185 0.311
O5 O 0.201 0.691 0.342
O6 O 0.306 0.814 0.155
O7 O 0.359 0.867 0.673
O8 O 0.475 0.475 0.528
O9 O 0.484 0.965 0.484
O10 O 0.517 0.517 0.978
O11 O 0.522 0.023 0.007
O12 O 0.635 0.151 0.817
O13 O 0.691 0.201 0.342
O14 O 0.810 0.810 0.193
O15 O 0.814 0.306 0.155
O16 O 0.851 0.851 0.643
O17 O 0.867 0.359 0.673
O18 O 0.965 0.484 0.484
# * magnetic moment: 0.00 μB per cell
# * ΔH_f (0 K): -2.864 eV per atom
# * volume: 468.8 Å³/cell
# * calculated total energy: -198.9 eV/cell
# * ρ: 7.7 g/cm3

=====

5.
# GaCl3 | the Materials Project | PBE | relaxed
data_GaCl3
_chemical_formula_sum 'Ga2 Cl6'
_cell_length_a 7.286
_cell_length_b 7.286
_cell_length_c 7.446
_cell_angle_alpha 120.59
_cell_angle_beta 120.59
_cell_angle_gamma 61.83
_symmetry_space_group_name_H-M 'P 1'
_symmetry_Int_Tables_number 1
_symmetry_space_group_name_Hall 'P 1'
loop_
_atom_site_label
_atom_site_type_symbol
_atom_site_fract_x
_atom_site_fract_y
_atom_site_fract_z
Ga1 Ga 0.155 0.155 0.084
Ga2 Ga 0.845 0.845 0.916
Cl1 Cl 0.189 0.189 0.835
Cl2 Cl 0.221 0.779 0.000
Cl3 Cl 0.313 0.313 0.431
Cl4 Cl 0.687 0.687 0.569
Cl5 Cl 0.779 0.221 0.000
Cl6 Cl 0.811 0.811 0.165
# * ΔH_f (0 K): -1.568 eV per atom
# * volume: 280.5 Å³/cell
# * calculated total energy: -26.0 eV/cell
# * ρ: 2.1 g/cm3

=====

6.
# LiPb | the Materials Project | PBE | relaxed
data_LiPb
_chemical_formula_sum 'Li1 Pb1'
_cell_length_a 3.568
_cell_length_b 3.568
_cell_length_c 3.568
_cell_angle_alpha 90.00
_cell_angle_beta 90.00
_cell_angle_gamma 90.00
_symmetry_space_group_name_H-M 'P 1'
_symmetry_Int_Tables_number 1
_symmetry_space_group_name_Hall 'P 1'
loop_
_atom_site_label
_atom_site_type_symbol
_atom_site_fract_x
_atom_site_fract_y
_atom_site_fract_z
Li1 Li 0.000 0.000 0.000
Pb1 Pb 0.500 0.500 0.500
# * ΔH_f (0 K): -0.272 eV per atom
# * volume: 45.4 Å³/cell
# * calculated total energy: -6.2 eV/cell
# * ρ: 7.8 g/cm3